No. 1
ZnSnO2 | GGA-PBE | relaxed

Cell and atoms, written as POSCAR:
```
ZnSnO2
1.0
3.3636 0.0000 0.0000
0.0936 8.6538 0.0000
0.0435 1.3652 8.9174
Zn Sn O
4 4 8
Cartesian
0.4801 2.5863 0.3379
1.1117 7.8713 2.0499
2.3891 2.1477 6.8675
3.0207 7.4327 8.5795
0.7911 8.1141 5.7492
1.7269 4.7904 6.2148
1.7738 5.2286 2.7026
2.7097 1.9049 3.1682
0.4631 6.4046 7.0089
0.6973 2.8182 6.0470
0.9476 1.1839 1.8726
1.3227 6.1934 0.7296
2.1781 3.8255 8.1878
2.5531 8.8351 7.0448
2.8034 7.2008 2.8704
3.0376 3.6144 1.9085
```

Calculated values
The value obtained for the formation energy is -1511 meV/atom.

***

No. 2
ZnSnO2 | GGA-PBE | relaxed

Cell and atoms, written as POSCAR:
```
ZnSnO2
1.0
3.1552 0.0000 0.0000
-1.3181 8.4997 0.0000
-1.0903 -3.7232 10.1744
Zn Sn O
4 4 8
Cartesian
0.0000 0.0000 0.0000
-0.8326 3.8428 3.9806
0.2862 5.7567 0.8034
0.6433 6.5818 3.1966
-0.8795 2.8507 7.6357
0.3876 1.0765 3.2740
1.8468 2.7592 0.7392
0.8412 5.7623 6.5262
-0.8290 -1.7682 9.8054
0.3776 -0.8454 3.8097
0.2715 3.0338 2.2414
-0.8348 3.6856 9.6953
0.7531 4.9297 4.4729
1.9480 0.8106 1.7684
1.8667 4.6799 0.2000
1.9790 1.8892 4.3779
```

Calculated values
The value obtained for the formation energy is -1483 meV/atom.

***

No. 3
ZnSn4O6 | GGA-PBE | relaxed

Cell and atoms, written as POSCAR:
```
ZnSn4O6
1.0
1.5634 -6.2744 0.0000
1.5634 6.2744 0.0000
0.0000 0.0000 16.9147
Zn Sn O
2 8 12
Cartesian
1.5634 4.1373 12.6860
1.5634 -4.1373 4.2287
1.5634 5.2343 2.8083
1.5634 5.2343 5.6490
1.5634 1.5773 0.6710
1.5634 1.5773 7.7864
1.5634 -1.5773 9.1283
1.5634 -1.5773 16.2438
1.5634 -5.2343 11.2657
1.5634 -5.2343 14.1064
0.0000 0.0000 0.0000
0.0000 0.0000 8.4574
1.5634 3.2388 4.2287
1.5634 1.9490 10.2599
1.5634 1.9490 15.1122
1.5634 0.6004 2.6440
1.5634 0.6004 5.8134
1.5634 -0.6004 11.1013
1.5634 -0.6004 14.2708
1.5634 -1.9490 1.8026
1.5634 -1.9490 6.6548
1.5634 -3.2388 12.6860
```

Calculated values
The value obtained for the formation energy is -1449 meV/atom.

***

| no. | calculated total energy (eV/atom) | ρ (g/cm³) | M_tot (μB/cell) |
| --- | --- | --- | --- |
| 1 | -4.959 | 5.5 | 0.00 |
| 2 | -4.931 | 5.3 | 0.00 |
| 3 | -5.346 | 6.4 | 0.00 |